Entry 1:
The following is a GGA-PBE calculation of crystalline Sr3B6H2O13 at its relaxed geometry, from the Materials Project.

Properties
theoretical density	3448	kg/m3
ΔH_f (0 K)	-2.901	eV/atom

```
Sr3B6H2O13
1.0
6.687 0.000 0.000
-0.355 6.753 0.000
-0.868 -0.198 11.469
H O B Sr
4 26 12 6
Cartesian
-0.321 4.241 2.951
5.784 2.315 8.519
4.045 4.293 10.387
1.418 2.262 1.083
2.508 4.715 11.000
4.562 4.966 7.931
2.437 1.661 9.581
2.680 4.824 4.296
0.591 2.761 1.363
0.746 6.235 4.772
2.783 1.731 7.174
-0.087 5.259 9.235
0.901 1.589 3.539
5.550 1.296 2.234
4.557 6.009 3.392
4.961 6.021 0.957
1.047 4.199 5.970
2.768 6.412 8.399
4.416 2.357 5.499
2.955 1.840 0.469
2.695 0.143 3.071
5.979 3.397 3.280
3.026 4.895 1.888
5.368 0.351 9.028
0.906 0.547 8.078
0.095 6.204 2.441
-0.516 3.159 8.190
4.872 3.794 10.106
0.502 0.535 10.513
4.717 0.321 6.697
0.100 -0.014 9.154
3.793 5.264 0.758
1.506 5.067 5.043
-0.060 2.219 2.618
3.150 5.717 3.172
5.363 6.569 2.315
3.957 1.488 6.427
1.669 1.292 10.712
5.523 4.337 8.851
2.313 0.839 8.298
4.171 6.400 8.056
1.292 0.156 3.414
3.428 2.480 3.034
5.166 4.810 5.485
0.297 1.745 5.984
2.035 4.075 8.435
0.914 5.146 0.332
4.549 1.409 11.137
```

=====

Entry 2:
The following is a GGA-PBE calculation of crystalline Ce3Si2BO10 at its relaxed geometry, from the Materials Project.

Properties
theoretical density	5114	kg/m3
ΔH_f (0 K)	-3.508	eV/atom

```
Ce3Si2BO10
1.0
7.222 0.000 0.000
0.000 9.939 0.000
0.000 0.000 23.427
O Ce Si B
80 24 16 8
Cartesian
5.957 5.450 20.948
2.127 6.002 6.532
5.521 2.372 21.543
4.786 1.387 11.902
3.883 4.588 2.325
0.268 3.896 19.403
1.484 1.033 16.895
1.053 7.222 20.860
4.876 0.481 2.478
0.921 8.413 4.935
1.175 8.552 23.238
1.053 2.252 14.280
5.312 7.342 1.884
3.883 9.558 9.388
3.343 3.896 7.689
3.034 6.240 11.915
4.532 6.496 4.935
2.346 4.489 14.192
1.701 7.567 1.884
6.047 1.387 0.189
6.950 4.588 14.039
6.280 0.973 4.978
4.532 1.526 6.778
3.879 1.074 19.403
4.664 7.687 20.860
5.521 7.342 13.597
2.690 8.413 16.649
0.577 6.240 0.202
4.876 5.450 9.235
5.312 2.372 9.830
3.339 5.351 21.102
2.436 3.582 0.189
6.950 9.558 21.102
3.034 1.270 23.225
6.645 3.700 23.225
2.127 1.033 5.181
1.265 9.458 9.235
1.175 3.582 11.902
2.558 2.252 2.567
0.921 3.443 6.778
2.558 7.222 9.147
1.484 6.002 18.246
6.301 1.526 18.492
1.910 2.597 21.543
3.879 6.043 15.738
6.047 6.357 11.525
0.577 1.270 11.512
3.339 0.382 14.039
2.669 8.967 6.735
1.265 4.489 2.478
1.910 7.567 13.597
0.272 0.382 2.325
5.738 3.937 5.181
4.188 8.669 0.202
4.786 6.357 23.238
4.188 3.700 11.512
5.738 8.907 6.532
6.301 6.496 16.649
2.690 3.443 18.492
6.645 8.669 11.915
1.701 2.597 9.830
6.954 1.074 7.689
5.957 0.481 14.192
6.169 7.687 9.147
4.664 2.717 14.280
4.553 0.973 16.692
0.272 5.351 9.388
2.669 3.997 4.978
2.436 8.552 11.525
3.343 8.866 4.024
0.268 8.866 15.738
2.346 9.458 20.948
5.095 8.907 18.246
0.942 8.967 18.449
6.954 6.043 4.024
0.942 3.997 16.692
5.095 3.937 16.895
6.280 5.942 6.735
6.169 2.717 2.567
4.553 5.942 18.449
0.992 4.878 21.737
5.945 8.599 3.831
4.888 3.629 19.596
2.619 9.848 1.690
4.280 7.277 7.431
5.945 3.629 7.882
4.603 5.061 13.404
2.942 7.632 19.144
1.277 6.310 15.545
6.230 5.061 1.690
0.992 9.848 13.404
4.888 8.599 15.545
2.619 4.878 10.023
2.334 1.340 7.882
4.603 0.092 21.737
2.334 6.310 3.831
6.230 0.092 10.023
0.669 7.632 7.431
6.553 2.308 15.996
1.277 1.340 19.596
6.553 7.277 19.144
2.942 2.662 15.996
0.669 2.662 4.283
4.280 2.308 4.283
2.270 9.329 5.167
1.031 8.709 21.587
5.881 0.610 6.546
4.952 5.579 16.881
6.191 6.200 9.874
1.341 4.360 18.260
4.952 0.610 18.260
2.270 4.360 6.546
4.642 6.200 21.587
1.031 3.740 13.553
2.580 8.709 9.874
1.341 9.329 16.881
6.191 1.230 1.840
5.881 5.579 5.167
2.580 3.740 1.840
4.642 1.230 13.553
4.749 7.516 0.645
1.138 2.423 11.068
1.138 7.393 0.645
4.749 2.547 11.068
2.473 2.423 22.781
6.084 7.516 12.359
6.084 2.547 22.781
2.473 7.393 12.359
```

=====

Entry 3:
The following is a GGA-PBE calculation of crystalline KSbC6Br5 at its relaxed geometry, from the Materials Project.

Properties
theoretical density	2808	kg/m3
ΔH_f (0 K)	0.197	eV/atom

```
KSbC6Br5
1.0
7.370 0.000 0.000
0.000 7.493 0.000
0.000 0.000 13.543
Br C Sb K
10 12 2 2
Cartesian
5.865 2.136 10.825
2.145 1.498 10.817
5.190 5.883 2.718
3.685 3.747 0.116
0.000 0.000 13.427
5.830 2.249 2.726
1.505 5.357 10.825
5.224 5.995 10.817
2.180 1.611 2.718
1.540 5.245 2.726
4.949 4.094 7.204
1.264 7.145 6.339
6.106 0.348 6.339
0.000 0.000 8.545
3.685 3.747 7.489
3.685 3.747 4.998
6.371 0.276 7.641
0.999 7.218 7.641
2.686 3.471 5.902
4.684 4.022 5.902
0.000 0.000 6.054
2.421 3.399 7.204
3.685 3.747 2.811
0.000 0.000 10.732
3.685 0.000 13.533
0.000 3.747 0.010
```

=====

Entry 4:
The following is a GGA-PBE calculation of crystalline SrI2O at its relaxed geometry, from the Materials Project.

Properties
theoretical density	4172	kg/m3
ΔH_f (0 K)	-1.193	eV/atom

```
SrI2O
1.0
-3.519 -3.234 -1.050
5.254 -3.694 -6.231
4.829 -8.146 8.902
I O Sr
8 4 4
Cartesian
4.051 -8.510 6.927
5.533 -7.207 -2.049
-0.281 -4.570 -2.090
1.030 -7.867 3.670
3.554 -9.673 0.771
2.512 -6.564 -5.306
3.009 -5.402 0.849
6.844 -10.505 3.710
2.876 -9.790 3.406
-0.856 -4.791 0.517
7.419 -10.283 1.103
3.687 -5.284 -1.785
0.701 -2.884 0.831
4.540 -7.959 3.592
5.862 -12.190 0.790
2.023 -7.115 -1.971
```

=====

Entry 5:
The following is a GGA-PBE calculation of crystalline NdH24C4I3N8O8 at its relaxed geometry, from the Materials Project.

Properties
theoretical density	2206	kg/m3
ΔH_f (0 K)	-0.876	eV/atom

```
NdH24C4I3N8O8
1.0
-6.667 1.748 -8.307
-1.161 -7.809 -0.711
-12.103 -4.009 8.869
H O I Nd C N
48 16 6 2 8 16
Cartesian
-8.503 -2.313 1.254
-7.967 -5.054 -1.710
-8.331 -8.550 4.659
-13.398 -2.894 -0.788
-9.088 -5.921 -4.210
-3.647 -0.724 -4.115
-9.475 -4.175 -1.575
-12.055 -8.735 4.068
-9.816 -2.698 0.174
-6.532 -7.176 0.639
-3.542 -6.234 -3.552
-11.964 -5.016 1.560
-14.246 -7.760 -2.644
-10.115 -7.372 -0.324
-8.730 -4.854 -7.813
-5.685 -2.311 2.495
-11.600 -1.521 -4.809
-10.843 -4.149 4.060
-11.201 -5.217 7.664
-7.876 -1.336 -4.218
-8.691 -3.540 3.385
-8.883 -4.629 -5.354
-12.904 -9.209 7.486
-14.747 -8.311 0.444
-11.048 -5.442 5.205
-6.601 -0.496 -5.986
-3.031 -7.109 -0.645
-5.629 -3.570 -4.535
-10.660 -7.754 4.407
-14.302 -6.501 4.385
-9.271 -2.316 -4.556
-5.184 -1.759 -0.594
-16.900 -2.962 0.496
-11.240 -6.531 -3.534
-13.734 -3.108 0.727
-7.298 -4.382 4.002
-5.938 -3.005 -2.906
-7.027 -0.861 -7.635
-6.196 -6.962 -0.876
-16.283 -9.346 3.965
-13.993 -7.066 2.757
-12.633 -5.689 -4.152
-10.456 -5.896 1.426
-16.388 -3.836 3.403
-16.310 -8.204 0.431
-3.621 -1.867 -0.580
-13.329 -9.574 5.837
-11.428 -7.758 -1.403
-15.494 -7.833 0.016
-14.743 -6.911 -2.702
-5.188 -3.160 2.552
-17.007 -3.652 -0.200
-4.437 -2.237 -0.166
-2.924 -6.418 0.050
-11.345 -4.149 -5.664
-6.858 -3.889 0.247
-10.853 -7.869 6.925
-5.871 -6.765 0.032
-13.073 -6.181 -0.396
-9.078 -2.201 -7.074
-8.585 -5.922 5.515
-14.060 -3.305 -0.181
-15.356 -5.252 1.632
-4.574 -4.818 -1.781
-12.208 -2.186 2.750
-6.254 -5.111 -7.060
-11.419 -1.960 -2.252
-8.511 -8.110 2.102
-13.677 -4.960 6.910
-6.561 -0.075 -2.188
-15.304 -5.431 -0.739
-4.627 -4.639 0.590
-8.292 -1.662 -6.236
-15.239 -5.437 2.881
-4.692 -4.633 -3.030
-11.876 -6.341 -0.008
-11.639 -8.408 6.087
-9.088 -5.045 4.747
-10.843 -5.025 -4.896
-8.054 -3.730 -0.141
-8.903 -2.941 0.556
-11.027 -7.130 -0.706
-9.505 -5.167 -4.761
-5.492 -3.668 -3.532
-8.301 -4.238 4.006
-7.240 -0.925 -6.646
-8.534 -4.359 -1.235
-10.426 -4.903 4.611
-3.985 -5.385 -3.905
-11.479 -8.241 4.754
-14.439 -6.402 3.382
-8.451 -1.830 -4.903
-15.946 -4.685 3.756
-12.691 -9.146 6.497
-11.396 -5.712 1.086
-11.629 -5.833 -4.156
```

=====

Entry 6:
The following is a GGA-PBE calculation of crystalline Sr2CeSbO6 at its relaxed geometry, from the Materials Project.

Properties
theoretical density	5607	kg/m3
ΔH_f (0 K)	-2.934	eV/atom

```
Sr2CeSbO6
1.0
0.000 -4.290 -4.290
4.290 0.000 -4.290
4.290 -4.290 0.000
Sb Sr O Ce
1 2 6 1
Cartesian
4.290 -4.290 -4.290
2.145 -2.145 -2.145
6.435 -6.435 -6.435
4.290 -6.297 -4.290
4.290 -4.290 -2.283
4.290 -2.283 -4.290
2.283 -4.290 -4.290
6.297 -4.290 -4.290
4.290 -4.290 -6.297
0.000 0.000 0.000
```